ZnC2Br4N6: relaxed, PBE.

a b c (Å): 5.8145 8.6139 14.5425
angles (deg): 89.27 86.13 79.69
With the nearest neighbours (Å) after each atom.
Sites, in units of the cell vectors:
Zn: 0.3132 0.0757 0.2811  4 Br 2.39-2.48
Zn: 0.6868 0.9243 0.7189  4 Br 2.39-2.48
C: 0.7277 0.3505 0.3879  1 N 1.23
C: 0.2723 0.6495 0.6121  1 N 1.23
C: 0.8096 0.2559 0.0494  1 N 1.22
C: 0.1904 0.7441 0.9506  1 N 1.22
Br: 0.2456 0.2694 0.1595  1 Zn 2.42, 1 N 2.59
Br: 0.7544 0.7306 0.8405  1 Zn 2.42, 1 N 2.59
Br: 0.2991 0.1831 0.4323  1 Zn 2.39, 1 N 2.64
Br: 0.7009 0.8169 0.5677  1 Zn 2.39, 1 N 2.64
Br: 0.6431 0.8554 0.2425  1 Zn 2.48
Br: 0.3569 0.1446 0.7575  1 Zn 2.48
Br: 0.1255 0.8423 0.2668  1 Zn 2.47
Br: 0.8745 0.1577 0.7332  1 Zn 2.47
N: 0.7414 0.2199 0.4236  1 C 1.23
N: 0.2586 0.7801 0.5764  1 C 1.23
N: 0.6054 0.4936 0.3485  1 N 1.26
N: 0.3946 0.5064 0.6515  1 N 1.26
N: 0.8228 0.4844 0.3512  1 N 1.26
N: 0.1772 0.5156 0.6488  1 N 1.26
N: 0.8141 0.2564 0.1333  1 C 1.22
N: 0.1859 0.7436 0.8667  1 C 1.22
N: 0.6914 0.2429 0.9660  1 N 1.26
N: 0.3086 0.7571 0.0340  1 N 1.26
N: 0.9002 0.2644 0.9548  1 N 1.26
N: 0.0998 0.7356 0.0452  1 N 1.26

Calculated values
Its total energy after the MP2020 corrections is -5.344 eV/atom. The space-group type is P-1, No. 2. The excess energy over the best structure of this formula in the dataset comes out at 0.092 eV/atom. The formation enthalpy at 0 K comes out at 50.6 kJ per mole of atoms. The total energy is -134.6 eV per cell.